(1)
{"formula": "Cs2RbSbF6", "functional": "PBE", "state": "relaxed", "cell": [[-4.0890, -0.7705, 5.5895], [-5.2012, -4.6362, -0.1005], [0.4199, -5.7913, 3.8524]], "species": ["F", "F", "Cs", "F", "F", "Cs", "Sb", "F", "F", "Rb"], "frac_coords": [[0.7754, 0.2246, 0.2246], [0.7754, 0.7754, 0.2246], [0.2500, 0.2500, 0.2500], [0.2246, 0.7754, 0.2246], [0.2246, 0.2246, 0.7754], [0.7500, 0.7500, 0.7500], [0.0000, 0.0000, 0.0000], [0.2246, 0.7754, 0.7754], [0.7754, 0.2246, 0.7754], [0.5000, 0.5000, 0.5000]], "mass_density_g_cm3": 4.07, "delta_e_f_ev_per_atom": -2.874}

---

(2)
{"formula": "CsRb2ScF6", "functional": "PBE", "state": "relaxed", "cell": [[-0.7793, -1.9872, 6.5079], [1.9143, 4.1506, 5.1006], [-4.7353, 2.9832, 3.9479]], "species": ["F", "F", "Sc", "Cs", "F", "F", "Rb", "Rb", "F", "F"], "frac_coords": [[0.2103, 0.7897, 0.7897], [0.2103, 0.2103, 0.7897], [0.0000, 0.0000, 0.0000], [0.5000, 0.5000, 0.5000], [0.7897, 0.2103, 0.2103], [0.2103, 0.7897, 0.2103], [0.7500, 0.7500, 0.7500], [0.2500, 0.2500, 0.2500], [0.7897, 0.7897, 0.2103], [0.7897, 0.2103, 0.7897]], "mass_density_g_cm3": 3.38, "delta_e_f_ev_per_atom": -3.486}

---

(3)
{"formula": "Cs2RbScF6", "functional": "PBE", "state": "relaxed", "cell": [[0.0000, 4.7595, 4.7595], [4.7595, 0.0000, 4.7595], [4.7595, 4.7595, 0.0000]], "species": ["Rb", "F", "F", "Cs", "Sc", "F", "F", "Cs", "F", "F"], "frac_coords": [[0.5000, 0.5000, 0.5000], [0.2148, 0.7852, 0.7852], [0.7852, 0.2148, 0.2148], [0.2500, 0.2500, 0.2500], [0.0000, 0.0000, 0.0000], [0.2148, 0.2148, 0.7852], [0.2148, 0.7852, 0.2148], [0.7500, 0.7500, 0.7500], [0.7852, 0.7852, 0.2148], [0.7852, 0.2148, 0.7852]], "mass_density_g_cm3": 3.93, "delta_e_f_ev_per_atom": -3.556}

---

(4)
{"formula": "CsRb2TaF6", "functional": "PBE", "state": "relaxed", "cell": [[-5.2467, -1.9558, 4.1390], [-6.4635, 2.2575, -1.2695], [-4.8324, -4.4236, -2.3589]], "species": ["Ta", "Rb", "Cs", "F", "F", "F", "F", "F", "Rb", "F"], "frac_coords": [[0.0000, 0.0000, 0.0000], [0.7500, 0.7500, 0.7500], [0.5000, 0.5000, 0.5000], [0.2103, 0.7897, 0.2103], [0.2103, 0.7897, 0.7897], [0.7897, 0.2103, 0.7897], [0.2103, 0.2103, 0.7897], [0.7897, 0.7897, 0.2103], [0.2500, 0.2500, 0.2500], [0.7897, 0.2103, 0.2103]], "mass_density_g_cm3": 4.17, "delta_e_f_ev_per_atom": -2.867}